Entry 1:
This record from Materials Project describes Rh7Pb3O15 after structural relaxation. The functional is PBE.

Values from the calculation:
For the spin magnetization, the calculation gives 0.002 Bohr magnetons per cell.

Unit cell a=10.5600 b=10.5600 c=13.4947 alpha=90.00 beta=90.00 gamma=120.00
Space group P6_3/mcm (No. 193)
Unique sites:
1 Rh 0.0000 0.0000 0.0000
2 Rh 0.0000 0.5000 0.0000
3 Rh 0.1688 0.3375 0.0000
4 Rh 0.3333 0.6667 0.1476
5 Pb 0.0000 0.2683 0.2500
6 Pb 0.0000 0.3974 0.7500
7 O 0.0000 0.1691 0.5747
8 O 0.0000 0.3338 0.0771
9 O 0.1590 0.4932 0.5812
10 O 0.1782 0.5217 0.2500

=====

Entry 2:
This record from Materials Project describes ZrSn after structural relaxation. The functional is PBE.

Values from the calculation:
For the spin magnetization, the calculation gives 0.001 Bohr magnetons per cell.

Unit cell a=5.457 b=15.596 c=5.522 alpha=90.00 beta=90.00 gamma=90.00
Space group Amm2 (No. 38)
Unique sites:
1 Zr 0.000 0.000 0.000
2 Zr 0.000 0.195 0.077
3 Zr 0.500 0.193 0.619
4 Sn 0.000 0.111 0.549
5 Sn 0.500 0.000 0.645
6 Sn 0.500 0.109 0.124

=====

Entry 3:
This record from Materials Project describes KCaP3H4O11 after structural relaxation. The functional is PBE.

Values from the calculation:
For the spin magnetization, the calculation gives 0.008 Bohr magnetons per cell.

Unit cell a=7.914 b=12.826 c=20.562 alpha=90.00 beta=90.69 gamma=90.00
Space group P2_1/c (No. 14)
Unique sites:
1 K 0.013 0.231 0.337
2 K 0.263 0.050 0.166
3 Ca 0.000 0.196 0.587
4 Ca 0.491 0.246 0.876
5 P 0.168 0.114 0.979
6 P 0.211 0.611 0.517
7 P 0.299 0.004 0.361
8 P 0.315 0.172 0.717
9 P 0.316 0.686 0.782
10 P 0.331 0.008 0.617
11 H 0.050 0.074 0.464
12 H 0.088 0.632 0.298
13 H 0.122 0.631 0.050
14 H 0.131 0.536 0.256
15 H 0.354 0.609 0.363
16 H 0.372 0.011 0.862
17 H 0.399 0.162 0.515
18 H 0.414 0.699 0.994
19 O 0.011 0.639 0.029
20 O 0.025 0.592 0.548
21 O 0.036 0.579 0.270
22 O 0.154 0.535 0.901
23 O 0.162 0.156 0.047
24 O 0.181 0.233 0.681
25 O 0.193 0.739 0.826
26 O 0.211 0.697 0.467
27 O 0.231 0.075 0.571
28 O 0.246 0.503 0.479
29 O 0.255 0.169 0.925
30 O 0.297 0.607 0.120
31 O 0.305 0.702 0.710
32 O 0.308 0.560 0.793
33 O 0.309 0.117 0.344
34 O 0.312 0.050 0.692
35 O 0.315 0.167 0.789
36 O 0.328 0.619 0.575
37 O 0.401 0.552 0.338
38 O 0.472 0.533 0.898
39 O 0.481 0.182 0.483
40 O 0.496 0.215 0.691

=====

Entry 4:
This record from Materials Project describes BaO after structural relaxation. The functional is PBE.

Unit cell a=3.913 b=6.802 c=52.706 alpha=90.00 beta=90.00 gamma=90.00
Space group Cmcm (No. 63)
Unique sites:
1 Ba 0.000 0.000 0.000
2 Ba 0.000 0.082 0.125
3 Ba 0.000 0.225 0.750
4 Ba 0.000 0.284 0.563
5 Ba 0.000 0.436 0.187
6 O 0.000 0.107 0.218
7 O 0.000 0.241 0.656
8 O 0.000 0.338 0.031
9 O 0.000 0.408 0.094

=====

no.,DFT formation energy (kJ/mol of formula units)
1,-3055
2,-62
3,-4603
4,-541